Compound: Sr2CoP2O8
Source: the Materials Project database
Functional: GGA+U
Structure: relaxed Values from VASP.

Geometry as Quantum ESPRESSO input:
```
&SYSTEM
  ibrav = 0, nat = 78, ntyp = 4
/
ATOMIC_SPECIES
Sr 87.62 Sr.upf
Co 58.93 Co.upf
P 30.97 P.upf
O 16.00 O.upf
CELL_PARAMETERS angstrom
11.846 0.000 0.000
0.000 10.140 0.000
-1.231 0.000 9.088
ATOMIC_POSITIONS crystal
Sr 0.004 0.115 0.304
Sr 0.004 0.385 0.804
Sr 0.311 0.227 0.666
Sr 0.311 0.273 0.166
Sr 0.348 0.649 0.334
Sr 0.348 0.851 0.834
Sr 0.652 0.149 0.166
Sr 0.652 0.351 0.666
Sr 0.689 0.727 0.834
Sr 0.689 0.773 0.334
Sr 0.996 0.615 0.196
Sr 0.996 0.885 0.696
Co 0.175 0.610 0.628
Co 0.175 0.890 0.128
Co 0.500 0.000 0.500
Co 0.500 0.500 0.000
Co 0.825 0.110 0.872
Co 0.825 0.390 0.372
P 0.126 0.103 0.938
P 0.126 0.397 0.438
P 0.213 0.574 0.009
P 0.213 0.926 0.509
P 0.457 0.568 0.709
P 0.457 0.932 0.209
P 0.543 0.068 0.791
P 0.543 0.432 0.291
P 0.787 0.074 0.491
P 0.787 0.426 0.991
P 0.874 0.603 0.562
P 0.874 0.897 0.062
O 0.003 0.134 0.864
O 0.003 0.366 0.364
O 0.126 0.037 0.524
O 0.126 0.463 0.024
O 0.139 0.104 0.111
O 0.139 0.396 0.611
O 0.157 0.543 0.399
O 0.157 0.957 0.899
O 0.184 0.686 0.115
O 0.184 0.814 0.615
O 0.207 0.207 0.888
O 0.207 0.293 0.388
O 0.209 0.630 0.852
O 0.209 0.870 0.352
O 0.335 0.520 0.068
O 0.335 0.980 0.568
O 0.350 0.622 0.611
O 0.350 0.878 0.111
O 0.436 0.083 0.868
O 0.436 0.417 0.368
O 0.441 0.076 0.262
O 0.441 0.424 0.762
O 0.478 0.654 0.856
O 0.478 0.846 0.356
O 0.522 0.154 0.644
O 0.522 0.346 0.144
O 0.559 0.576 0.238
O 0.559 0.924 0.738
O 0.564 0.583 0.632
O 0.564 0.917 0.132
O 0.650 0.122 0.889
O 0.650 0.378 0.389
O 0.665 0.020 0.432
O 0.665 0.480 0.932
O 0.791 0.130 0.648
O 0.791 0.370 0.148
O 0.793 0.707 0.612
O 0.793 0.793 0.112
O 0.816 0.186 0.385
O 0.816 0.314 0.885
O 0.843 0.043 0.101
O 0.843 0.457 0.601
O 0.861 0.604 0.389
O 0.861 0.896 0.889
O 0.874 0.537 0.976
O 0.874 0.963 0.476
O 0.997 0.634 0.636
O 0.997 0.866 0.136
```

## Properties
The value obtained for the total energy is -7.09 eV per atom. For the density, the calculation gives 3.87 g/cm³. The value obtained for the formation energy is -2957 meV/atom. As for the space-group type: No. 14.

Compound: ZnFeO3
Source: the Materials Project database
Functional: GGA+U
Structure: relaxed Values from VASP.

Geometry as Quantum ESPRESSO input:
```
&SYSTEM
  ibrav = 0, nat = 10, ntyp = 3
/
ATOMIC_SPECIES
Zn 65.41 Zn.upf
Fe 55.84 Fe.upf
O 16.00 O.upf
CELL_PARAMETERS angstrom
2.566 1.481 4.630
-2.566 1.481 4.630
0.000 -2.963 4.630
ATOMIC_POSITIONS crystal
Zn 0.137 0.137 0.137
Zn 0.863 0.863 0.863
Fe 0.347 0.347 0.347
Fe 0.653 0.653 0.653
O 0.059 0.455 0.726
O 0.274 0.941 0.545
O 0.455 0.726 0.059
O 0.545 0.274 0.941
O 0.726 0.059 0.455
O 0.941 0.546 0.274
```

## Properties
The value obtained for the total energy is -5.52 eV per atom. For the density, the calculation gives 5.32 g/cm³. The value obtained for the formation energy is -1466 meV/atom. As for the space-group type: No. 148.

Compound: Er2NiRuO6
Source: the Materials Project database
Functional: GGA+U
Structure: relaxed Values from VASP.

Geometry as Quantum ESPRESSO input:
```
&SYSTEM
  ibrav = 0, nat = 20, ntyp = 4
/
ATOMIC_SPECIES
Er 167.26 Er.upf
Ni 58.69 Ni.upf
Ru 101.07 Ru.upf
O 16.00 O.upf
CELL_PARAMETERS angstrom
5.275 0.000 0.000
0.000 5.691 0.000
-5.211 0.000 7.658
ATOMIC_POSITIONS crystal
Er 0.221 0.077 0.247
Er 0.221 0.423 0.747
Er 0.779 0.577 0.253
Er 0.779 0.923 0.753
Ni 0.000 0.000 0.500
Ni 0.000 0.500 0.000
Ru 0.500 0.000 0.000
Ru 0.500 0.500 0.500
O 0.129 0.188 0.941
O 0.129 0.312 0.441
O 0.250 0.698 0.932
O 0.250 0.802 0.432
O 0.382 0.050 0.753
O 0.382 0.450 0.253
O 0.618 0.550 0.747
O 0.618 0.950 0.247
O 0.750 0.198 0.568
O 0.750 0.302 0.068
O 0.871 0.688 0.559
O 0.871 0.812 0.059
```

## Properties
The value obtained for the total energy is -7.39 eV per atom. For the density, the calculation gives 8.53 g/cm³. The value obtained for the formation energy is -2673 meV/atom. As for the space-group type: No. 14.

Compound: Li3Co5O10
Source: the Materials Project database
Functional: GGA+U
Structure: relaxed Values from VASP.

Geometry as Quantum ESPRESSO input:
```
&SYSTEM
  ibrav = 0, nat = 36, ntyp = 3
/
ATOMIC_SPECIES
Li 6.94 Li.upf
Co 58.93 Co.upf
O 16.00 O.upf
CELL_PARAMETERS angstrom
2.834 0.000 0.000
-0.103 9.956 0.000
-1.327 -0.232 12.202
ATOMIC_POSITIONS crystal
Li 0.000 0.000 0.000
Li 0.051 0.500 0.550
Li 0.383 0.003 0.785
Li 0.633 0.004 0.224
Li 0.753 0.999 0.566
Li 0.844 0.500 0.140
Co 0.091 0.752 0.625
Co 0.173 0.251 0.318
Co 0.286 0.752 0.023
Co 0.370 0.255 0.717
Co 0.487 0.749 0.422
Co 0.572 0.242 0.118
Co 0.688 0.749 0.825
Co 0.769 0.246 0.518
Co 0.885 0.746 0.223
Co 0.970 0.249 0.918
O 0.027 0.849 0.492
O 0.044 0.342 0.056
O 0.106 0.141 0.189
O 0.152 0.657 0.757
O 0.218 0.858 0.889
O 0.243 0.346 0.455
O 0.295 0.143 0.587
O 0.349 0.646 0.152
O 0.419 0.845 0.291
O 0.440 0.337 0.850
O 0.498 0.140 0.982
O 0.553 0.648 0.556
O 0.625 0.857 0.691
O 0.647 0.346 0.251
O 0.700 0.152 0.381
O 0.747 0.658 0.953
O 0.818 0.854 0.094
O 0.844 0.350 0.651
O 0.898 0.148 0.780
O 0.949 0.652 0.357
```

## Properties
The value obtained for the total energy is -5.72 eV per atom. For the density, the calculation gives 4.59 g/cm³. The value obtained for the formation energy is -1515 meV/atom. As for the space-group type: No. 1.

Compound: Na3V5H18O23
Source: the Materials Project database
Functional: GGA+U
Structure: relaxed Values from VASP.

Geometry as Quantum ESPRESSO input:
```
&SYSTEM
  ibrav = 0, nat = 98, ntyp = 4
/
ATOMIC_SPECIES
Na 22.99 Na.upf
V 50.94 V.upf
H 1.01 H.upf
O 16.00 O.upf
CELL_PARAMETERS angstrom
8.656 0.000 0.000
-2.224 10.713 0.000
-1.864 -3.627 11.107
ATOMIC_POSITIONS crystal
Na 0.024 0.256 0.304
Na 0.041 0.236 0.027
Na 0.222 0.857 0.512
Na 0.778 0.143 0.488
Na 0.959 0.764 0.973
Na 0.976 0.744 0.696
V 0.188 0.312 0.752
V 0.317 0.505 0.014
V 0.415 0.229 0.939
V 0.451 0.578 0.798
V 0.457 0.692 0.275
V 0.543 0.308 0.725
V 0.549 0.422 0.202
V 0.585 0.771 0.061
V 0.683 0.495 0.986
V 0.812 0.688 0.248
H 0.049 0.044 0.383
H 0.058 0.550 0.795
H 0.075 0.588 0.477
H 0.116 0.019 0.714
H 0.121 0.844 0.221
H 0.123 0.486 0.197
H 0.161 0.050 0.164
H 0.217 0.618 0.585
H 0.261 0.850 0.153
H 0.266 0.782 0.902
H 0.268 0.929 0.921
H 0.283 0.182 0.179
H 0.286 0.121 0.520
H 0.329 0.405 0.515
H 0.336 0.448 0.399
H 0.347 0.056 0.405
H 0.467 0.862 0.711
H 0.482 0.014 0.729
H 0.518 0.986 0.271
H 0.533 0.138 0.289
H 0.653 0.944 0.595
H 0.664 0.552 0.601
H 0.671 0.595 0.485
H 0.714 0.879 0.480
H 0.717 0.818 0.821
H 0.732 0.071 0.079
H 0.734 0.218 0.098
H 0.739 0.150 0.847
H 0.783 0.382 0.415
H 0.839 0.950 0.836
H 0.877 0.514 0.803
H 0.879 0.156 0.779
H 0.884 0.981 0.286
H 0.925 0.412 0.523
H 0.942 0.450 0.205
H 0.951 0.956 0.617
O 0.004 0.243 0.670
O 0.037 0.415 0.203
O 0.057 0.940 0.646
O 0.129 0.653 0.554
O 0.141 0.415 0.908
O 0.156 0.872 0.155
O 0.168 0.142 0.167
O 0.196 0.839 0.888
O 0.216 0.192 0.839
O 0.242 0.478 0.728
O 0.256 0.045 0.446
O 0.262 0.411 0.444
O 0.262 0.588 0.143
O 0.322 0.250 0.656
O 0.346 0.355 0.069
O 0.372 0.649 0.952
O 0.375 0.764 0.380
O 0.399 0.102 0.989
O 0.443 0.420 0.889
O 0.455 0.527 0.302
O 0.464 0.707 0.749
O 0.469 0.928 0.668
O 0.477 0.812 0.183
O 0.523 0.188 0.817
O 0.531 0.072 0.332
O 0.536 0.293 0.251
O 0.545 0.473 0.698
O 0.557 0.580 0.111
O 0.601 0.898 0.011
O 0.625 0.236 0.620
O 0.628 0.351 0.048
O 0.654 0.645 0.931
O 0.678 0.750 0.344
O 0.738 0.412 0.857
O 0.738 0.589 0.556
O 0.744 0.955 0.554
O 0.758 0.522 0.272
O 0.784 0.808 0.161
O 0.804 0.161 0.112
O 0.832 0.858 0.833
O 0.844 0.128 0.845
O 0.859 0.585 0.092
O 0.871 0.347 0.446
O 0.943 0.060 0.354
O 0.963 0.585 0.797
O 0.996 0.757 0.330
```

## Properties
The value obtained for the total energy is -5.82 eV per atom. For the density, the calculation gives 2.29 g/cm³. The value obtained for the formation energy is -1741 meV/atom. As for the space-group type: No. 2.

Compound: Li2FePCO7
Source: the Materials Project database
Functional: GGA+U
Structure: relaxed Values from VASP.

Geometry as Quantum ESPRESSO input:
```
&SYSTEM
  ibrav = 0, nat = 48, ntyp = 5
/
ATOMIC_SPECIES
Li 6.94 Li.upf
Fe 55.84 Fe.upf
P 30.97 P.upf
C 12.01 C.upf
O 16.00 O.upf
CELL_PARAMETERS angstrom
8.347 0.000 0.000
0.000 6.491 0.000
-0.888 0.000 10.156
ATOMIC_POSITIONS crystal
Li 0.098 0.249 0.369
Li 0.098 0.251 0.869
Li 0.278 0.036 0.623
Li 0.278 0.464 0.123
Li 0.722 0.536 0.877
Li 0.722 0.964 0.377
Li 0.902 0.749 0.131
Li 0.902 0.751 0.631
Fe 0.329 0.749 0.851
Fe 0.329 0.751 0.351
Fe 0.671 0.249 0.649
Fe 0.671 0.251 0.149
P 0.420 0.242 0.388
P 0.420 0.258 0.888
P 0.580 0.742 0.112
P 0.580 0.758 0.612
C 0.040 0.741 0.899
C 0.040 0.759 0.399
C 0.960 0.241 0.601
C 0.960 0.259 0.101
O 0.076 0.739 0.277
O 0.076 0.761 0.777
O 0.102 0.219 0.567
O 0.102 0.281 0.067
O 0.164 0.745 0.987
O 0.164 0.755 0.487
O 0.305 0.059 0.353
O 0.305 0.441 0.853
O 0.317 0.068 0.842
O 0.317 0.432 0.342
O 0.421 0.724 0.178
O 0.421 0.776 0.678
O 0.462 0.241 0.541
O 0.462 0.259 0.041
O 0.538 0.741 0.959
O 0.538 0.759 0.459
O 0.579 0.224 0.322
O 0.579 0.276 0.822
O 0.683 0.568 0.658
O 0.683 0.932 0.158
O 0.695 0.559 0.147
O 0.695 0.941 0.647
O 0.836 0.245 0.513
O 0.836 0.255 0.013
O 0.898 0.719 0.933
O 0.898 0.781 0.433
O 0.924 0.239 0.223
O 0.924 0.261 0.723
```

## Properties
The value obtained for the total energy is -6.82 eV per atom. For the density, the calculation gives 2.71 g/cm³. The value obtained for the formation energy is -2280 meV/atom. The value obtained for the energy relative to the lowest polymorph listed for this composition is 15 meV per atom. As for the space-group type: No. 14.